DFT (GGA-PBE) results for a geometry-optimized Tm6Mn4Al43 structure.

## Properties
The calculation puts the formation energy at -0.26 eV per atom. As for the magnetic moment: 6.437 μB/f.u. The calculation puts the total energy at -4.500 eV per atom.

a = 10.8610 Å, b = 10.8610 Å, c = 17.4281 Å
α = 90.00°, β = 90.00°, γ = 120.00°
Closest atoms and distances in Å follow each position.
Space group P6_3/mcm (No. 193)
Unique sites:
1 Tm 0.0000 0.4681 0.0950 x12  14 Al 3.03-3.35, 1 Tm 3.38
2 Mn 0.0000 0.0000 0.0000 x2  12 Al 2.64-2.79
3 Mn 0.0000 0.2679 0.2500 x6  10 Al 2.52-2.65
4 Al 0.0000 0.1461 0.7500 x6  2 Mn 2.52, 6 Al 2.75-2.77
5 Al 0.0000 0.1569 0.1154 x12  2 Mn 2.64, 9 Al 2.69-2.95
6 Al 0.0000 0.2526 0.5305 x12  9 Al 2.70-2.94, 1 Mn 2.79
7 Al 0.1451 0.5474 0.2500 x12  1 Mn 2.63, 7 Al 2.73-2.80
8 Al 0.1583 0.3919 0.6651 x24  1 Mn 2.65, 7 Al 2.69-2.96
9 Al 0.2467 0.4934 0.0000 x12  6 Al 2.70-2.82
10 Al 0.3333 0.6667 0.1267 x8  9 Al 2.70-2.80

***

DFT (GGA-PBE) results for a geometry-optimized Nd2Ti2O7 structure.

## Properties
The calculation puts the formation energy at -3.69 eV per atom. As for the magnetic moment: 0.000 μB/f.u. The calculation puts the total energy at -8.705 eV per atom.

a = 10.3903 Å, b = 10.3903 Å, c = 10.3903 Å
α = 90.00°, β = 90.00°, γ = 90.00°
Closest atoms and distances in Å follow each position.
Space group Fd-3m (No. 227, origin choice 2)
Unique sites:
1 Nd 0.0000 0.0000 0.0000 x16  2 O 2.25
2 Ti 0.0000 0.0000 0.5000 x16  6 O 2.00
3 O 0.0751 0.3750 0.8750 x48  2 Ti 2.00
4 O 0.1250 0.1250 0.1250 x8  4 Nd 2.25

***

DFT (GGA-PBE) results for a geometry-optimized AgAuF4 structure.

## Properties
The calculation puts the formation energy at -1.40 eV per atom. The calculation puts the total energy at -3.390 eV per atom.

a = 5.8767 Å, b = 5.8767 Å, c = 10.9648 Å
α = 90.00°, β = 90.00°, γ = 90.00°
Closest atoms and distances in Å follow each position.
Space group I4/mcm (No. 140)
Unique sites:
1 Ag 0.0000 0.0000 0.2500 x4  8 F 2.56
2 Au 0.0000 0.5000 0.0000 x4  4 F 1.99
3 F 0.1700 0.3300 0.1277 x16  1 Au 1.99

***

Which formula does entry 1 have? Tm6Mn4Al43